DFT (GGA+U) results for a relaxed structure of Na10W13O39.

Properties
Energy with MP2020 corrections = -509.3 eV per cell
Raw total energy = -6.851 eV per atom
M_tot = 10.00 μB/f.u.
Formation energy = -2.1714 eV per atom

```
data_Na10W13O39
_chemical_formula_sum 'Na10 W13 O39'
_symmetry_space_group_name_H-M 'P -1'
_symmetry_Int_Tables_number 2
_symmetry_space_group_name_Hall '-P 1'
_cell_length_a 6.8581
_cell_length_b 8.8348
_cell_length_c 14.2404
_cell_angle_alpha 75.82
_cell_angle_beta 80.78
_cell_angle_gamma 75.01
loop_
_atom_site_label
_atom_site_fract_x
_atom_site_fract_y
_atom_site_fract_z
Na1 0.0388 0.2298 0.1534
Na2 0.1164 0.6925 0.4614
Na3 0.1935 0.1540 0.7697
Na4 0.2701 0.6170 0.0773
Na5 0.3465 0.0774 0.3849
W1 0.0000 0.0000 0.0000
W2 0.0776 0.4598 0.3081
W3 0.1561 0.9228 0.6155
W4 0.2303 0.3841 0.9223
W5 0.3100 0.8457 0.2291
W6 0.3877 0.3115 0.5389
W7 0.4612 0.7695 0.8466
O1 0.0000 0.0000 0.5000
O2 0.0000 0.5000 0.0000
O3 0.0325 0.7279 0.6547
O4 0.0707 0.4616 0.8072
O5 0.0716 0.9647 0.3097
O6 0.1135 0.2010 0.9600
O7 0.1463 0.4236 0.6148
O8 0.1491 0.9205 0.1173
O9 0.1885 0.6562 0.2690
O10 0.2238 0.8846 0.9243
O11 0.2252 0.3865 0.4231
O12 0.2705 0.1176 0.5765
O13 0.2996 0.3482 0.2319
O14 0.3141 0.8457 0.7345
O15 0.3415 0.5727 0.8890
O16 0.3834 0.8101 0.5390
O17 0.3861 0.3111 0.0410
O18 0.4190 0.0349 0.1956
O19 0.4578 0.2720 0.8471
O20 0.4618 0.7706 0.3486
O21 0.5000 0.5000 0.5000
```

***

DFT (GGA+U) results for a relaxed structure of Na9W13O39.

Properties
Energy with MP2020 corrections = -505.0 eV per cell
Raw total energy = -6.893 eV per atom
M_tot = 9.00 μB/f.u.
Formation energy = -2.1579 eV per atom

```
data_Na9W13O39
_chemical_formula_sum 'Na9 W13 O39'
_symmetry_space_group_name_H-M 'P 1'
_symmetry_Int_Tables_number 1
_symmetry_space_group_name_Hall 'P 1'
_cell_length_a 5.5442
_cell_length_b 11.7597
_cell_length_c 13.0028
_cell_angle_alpha 72.45
_cell_angle_beta 90.00
_cell_angle_gamma 76.37
loop_
_atom_site_label
_atom_site_fract_x
_atom_site_fract_y
_atom_site_fract_z
Na1 0.0000 0.0000 0.0000
Na2 0.0740 0.8530 0.7644
Na3 0.1513 0.6963 0.5355
Na4 0.2264 0.5420 0.3003
Na5 0.3854 0.2365 0.8418
Na6 0.5358 0.9260 0.3785
Na7 0.6915 0.6139 0.9228
Na8 0.8367 0.3095 0.4618
Na9 0.9242 0.1590 0.2259
W1 0.0729 0.8484 0.2647
W2 0.1499 0.6940 0.0367
W3 0.2283 0.5404 0.8050
W4 0.3042 0.3863 0.5760
W5 0.3791 0.2347 0.3431
W6 0.4566 0.0814 0.1112
W7 0.5351 0.9260 0.8815
W8 0.6122 0.7719 0.6509
W9 0.6887 0.6169 0.4204
W10 0.7637 0.4653 0.1874
W11 0.8412 0.3133 0.9572
W12 0.9191 0.1578 0.7267
W13 0.9946 0.0044 0.4978
O1 0.0319 0.9278 0.3803
O2 0.0366 0.4260 0.8814
O3 0.0694 0.3485 0.2678
O4 0.1116 0.2720 0.6512
O5 0.1126 0.7722 0.1510
O6 0.1465 0.1933 0.0348
O7 0.1839 0.1196 0.4185
O8 0.1872 0.6201 0.9191
O9 0.2261 0.0411 0.8059
O10 0.2631 0.9661 0.1893
O11 0.2661 0.4644 0.6896
O12 0.3016 0.8857 0.5731
O13 0.3393 0.8112 0.9563
O14 0.3414 0.3129 0.4570
O15 0.3764 0.7331 0.3463
O16 0.4165 0.6595 0.7284
O17 0.4176 0.1542 0.2294
O18 0.4558 0.5796 0.1131
O19 0.4933 0.0065 0.9946
O20 0.4948 0.5022 0.4955
O21 0.5364 0.4279 0.8806
O22 0.5744 0.3483 0.2672
O23 0.5754 0.8475 0.7671
O24 0.6114 0.2713 0.6509
O25 0.6498 0.1952 0.0339
O26 0.6496 0.6964 0.5345
O27 0.6890 0.1190 0.4183
O28 0.7266 0.5386 0.3064
O29 0.7320 0.0400 0.8068
O30 0.7675 0.9674 0.1880
O31 0.8032 0.3887 0.0729
O32 0.8061 0.8860 0.5724
O33 0.8438 0.8113 0.9574
O34 0.8797 0.2321 0.8442
O35 0.8811 0.7339 0.3445
O36 0.9218 0.6600 0.7281
O37 0.9558 0.5806 0.1129
O38 0.9572 0.0799 0.6122
O39 0.9985 0.5027 0.4950
```

***

DFT (GGA+U) results for a relaxed structure of Na17W19O57.

Properties
Energy with MP2020 corrections = -753.2 eV per cell
Raw total energy = -6.771 eV per atom
M_tot = 17.00 μB/f.u.
Formation energy = -2.1771 eV per atom

```
data_Na17W19O57
_chemical_formula_sum 'Na17 W19 O57'
_symmetry_space_group_name_H-M 'P 1'
_symmetry_Int_Tables_number 1
_symmetry_space_group_name_Hall 'P 1'
_cell_length_a 8.8757
_cell_length_b 8.8886
_cell_length_c 16.8475
_cell_angle_alpha 83.99
_cell_angle_beta 77.90
_cell_angle_gamma 66.44
loop_
_atom_site_label
_atom_site_fract_x
_atom_site_fract_y
_atom_site_fract_z
Na1 0.0000 0.0000 0.0000
Na2 0.0485 0.6322 0.7355
Na3 0.1017 0.2653 0.4718
Na4 0.1563 0.8950 0.2088
Na5 0.2071 0.5283 0.9477
Na6 0.2598 0.1587 0.6834
Na7 0.3146 0.7898 0.4184
Na8 0.3652 0.4232 0.1573
Na9 0.4183 0.0511 0.8952
Na10 0.4739 0.6847 0.6300
Na11 0.5253 0.3175 0.3658
Na12 0.5751 0.9467 0.1041
Na13 0.6302 0.5819 0.8414
Na14 0.6833 0.2118 0.5771
Na15 0.7357 0.8423 0.3137
Na16 0.8411 0.1063 0.7881
Na17 0.9456 0.3687 0.2615
W1 0.0222 0.3178 0.8676
W2 0.0769 0.9472 0.6041
W3 0.1263 0.5821 0.3414
W4 0.1792 0.2121 0.0776
W5 0.2352 0.8414 0.8142
W6 0.2859 0.4767 0.5503
W7 0.3395 0.1063 0.2877
W8 0.3933 0.7374 0.0260
W9 0.4462 0.3678 0.7621
W10 0.4998 0.0004 0.4990
W11 0.5547 0.6295 0.2355
W12 0.6027 0.2654 0.9728
W13 0.6583 0.8960 0.7084
W14 0.7087 0.5263 0.4472
W15 0.7584 0.1608 0.1825
W16 0.8126 0.7896 0.9207
W17 0.8666 0.4235 0.6552
W18 0.9215 0.0509 0.3938
W19 0.9733 0.6842 0.1297
O1 0.0270 0.8185 0.3638
O2 0.0297 0.8206 0.8652
O3 0.0521 0.6325 0.2354
O4 0.0720 0.4564 0.1035
O5 0.0773 0.4400 0.6073
O6 0.1043 0.2653 0.9679
O7 0.1266 0.0828 0.3399
O8 0.1293 0.0852 0.8407
O9 0.1591 0.8963 0.7083
O10 0.1814 0.7101 0.0758
O11 0.1820 0.7174 0.5783
O12 0.2150 0.5242 0.4484
O13 0.2291 0.3433 0.8138
O14 0.2416 0.3373 0.3165
O15 0.2613 0.1616 0.1825
O16 0.2869 0.9759 0.0493
O17 0.2925 0.9741 0.5495
O18 0.3199 0.7851 0.9206
O19 0.3401 0.6051 0.2897
O20 0.3438 0.6062 0.7863
O21 0.3644 0.4232 0.6566
O22 0.3841 0.2417 0.0254
O23 0.3941 0.2322 0.5265
O24 0.4208 0.0513 0.3974
O25 0.4402 0.8729 0.2648
O26 0.4464 0.8710 0.7628
O27 0.4637 0.6830 0.1300
O28 0.4973 0.5032 0.5016
O29 0.4991 0.4920 0.9971
O30 0.5209 0.3163 0.8648
O31 0.5474 0.1331 0.7346
O32 0.5534 0.1290 0.2375
O33 0.5702 0.9504 0.6029
O34 0.5997 0.7706 0.9710
O35 0.6010 0.7648 0.4723
O36 0.6261 0.5820 0.3423
O37 0.6526 0.3931 0.2131
O38 0.6636 0.3897 0.7079
O39 0.6860 0.2026 0.0797
O40 0.7003 0.0300 0.4462
O41 0.7036 0.0357 0.9467
O42 0.7381 0.8444 0.8173
O43 0.7519 0.6646 0.1861
O44 0.7584 0.6563 0.6893
O45 0.7877 0.4702 0.5513
O46 0.8099 0.2970 0.4177
O47 0.8195 0.2871 0.9157
O48 0.8405 0.1047 0.2878
O49 0.8609 0.9241 0.6605
O50 0.8679 0.9161 0.1566
O51 0.8923 0.7490 0.0209
O52 0.9229 0.5504 0.8901
O53 0.9270 0.5491 0.3915
O54 0.9472 0.3669 0.7640
O55 0.9741 0.1773 0.6276
O56 0.9774 0.1838 0.1301
O57 0.9919 0.0086 0.4963
```

***

DFT (GGA+U) results for a relaxed structure of Na7W13O39.

Properties
Energy with MP2020 corrections = -499.8 eV per cell
Raw total energy = -7.039 eV per atom
M_tot = 6.80 μB/f.u.
Formation energy = -2.1878 eV per atom

```
data_Na7W13O39
_chemical_formula_sum 'Na7 W13 O39'
_symmetry_space_group_name_H-M 'P 1'
_symmetry_Int_Tables_number 1
_symmetry_space_group_name_Hall 'P 1'
_cell_length_a 5.5504
_cell_length_b 9.6335
_cell_length_c 16.1713
_cell_angle_alpha 101.35
_cell_angle_beta 99.79
_cell_angle_gamma 106.65
loop_
_atom_site_label
_atom_site_fract_x
_atom_site_fract_y
_atom_site_fract_z
Na1 0.0000 0.0000 0.0000
Na2 0.0805 0.9243 0.2346
Na3 0.2322 0.7693 0.6946
Na4 0.3847 0.6150 0.1543
Na5 0.4673 0.5401 0.3906
Na6 0.6166 0.3826 0.8462
Na7 0.8465 0.1542 0.5411
W1 0.0022 0.5021 0.5034
W2 0.0803 0.4225 0.7325
W3 0.1540 0.3446 0.9635
W4 0.2334 0.2699 0.1938
W5 0.3077 0.1953 0.4251
W6 0.3865 0.1129 0.6550
W7 0.4617 0.0393 0.8864
W8 0.5425 0.9635 0.1177
W9 0.6178 0.8874 0.3505
W10 0.6955 0.8070 0.5794
W11 0.7716 0.7315 0.8097
W12 0.8443 0.6504 0.0383
W13 0.9240 0.5755 0.2722
O1 0.0037 0.5070 0.0048
O2 0.0333 0.4576 0.6201
O3 0.0504 0.9705 0.6194
O4 0.0859 0.4263 0.2321
O5 0.1124 0.3840 0.8494
O6 0.1283 0.8844 0.8465
O7 0.1609 0.3412 0.4637
O8 0.1913 0.3080 0.0755
O9 0.1911 0.8142 0.0818
O10 0.2352 0.2716 0.6971
O11 0.2644 0.7254 0.3066
O12 0.2790 0.2311 0.3125
O13 0.3094 0.1867 0.9230
O14 0.3381 0.6451 0.5389
O15 0.3599 0.1586 0.5430
O16 0.3774 0.1141 0.1543
O17 0.4120 0.5737 0.7720
O18 0.4298 0.0787 0.7714
O19 0.4665 0.0371 0.3869
O20 0.4984 0.9975 0.0015
O21 0.5081 0.5065 0.0041
O22 0.5445 0.9703 0.6197
O23 0.5708 0.9203 0.2294
O24 0.5827 0.4329 0.2331
O25 0.6187 0.8817 0.8479
O26 0.6556 0.8474 0.4672
O27 0.6613 0.3402 0.4636
O28 0.6968 0.8105 0.0815
O29 0.7286 0.7719 0.6926
O30 0.7332 0.2733 0.6979
O31 0.7661 0.7318 0.3078
O32 0.8015 0.1840 0.9233
O33 0.8136 0.6959 0.9293
O34 0.8394 0.6493 0.5392
O35 0.8804 0.1089 0.1535
O36 0.8906 0.6234 0.1574
O37 0.9180 0.5759 0.7731
O38 0.9588 0.5372 0.3837
O39 0.9783 0.0396 0.3899
```

***

DFT (GGA+U) results for a relaxed structure of Na11W16O48.

Properties
Energy with MP2020 corrections = -620.8 eV per cell
Raw total energy = -6.890 eV per atom
M_tot = 11.00 μB/f.u.
Formation energy = -2.1516 eV per atom

```
data_Na11W16O48
_chemical_formula_sum 'Na11 W16 O48'
_symmetry_space_group_name_H-M 'P 1'
_symmetry_Int_Tables_number 1
_symmetry_space_group_name_Hall 'P 1'
_cell_length_a 6.7304
_cell_length_b 10.9929
_cell_length_c 12.8761
_cell_angle_alpha 89.98
_cell_angle_beta 80.03
_cell_angle_gamma 89.97
loop_
_atom_site_label
_atom_site_fract_x
_atom_site_fract_y
_atom_site_fract_z
Na1 0.0000 0.0000 0.0000
Na2 0.0001 0.4974 0.9996
Na3 0.1243 0.2486 0.6246
Na4 0.1243 0.7487 0.6247
Na5 0.2507 0.9998 0.2510
Na6 0.2507 0.4972 0.2511
Na7 0.3785 0.7486 0.8745
Na8 0.3788 0.2486 0.8752
Na9 0.5039 0.4982 0.5007
Na10 0.5041 0.9992 0.5003
Na11 0.6271 0.7485 0.1265
W1 0.1243 0.2485 0.1268
W2 0.1242 0.7488 0.1270
W3 0.2521 0.4984 0.7497
W4 0.2524 0.9989 0.7497
W5 0.3768 0.2483 0.3744
W6 0.3774 0.7486 0.3759
W7 0.5040 0.0009 0.0002
W8 0.5038 0.4964 0.9997
W9 0.6300 0.2483 0.6249
W10 0.6300 0.7489 0.6248
W11 0.7513 0.4961 0.2516
W12 0.7517 0.0010 0.2514
W13 0.8752 0.2484 0.8749
W14 0.8748 0.7491 0.8736
W15 0.9986 0.4984 0.5005
W16 0.9990 0.9988 0.4997
O1 0.0010 0.7644 0.0005
O2 0.0049 0.2339 0.9992
O3 0.0603 0.8720 0.8058
O4 0.0605 0.1249 0.8059
O5 0.0744 0.6252 0.8205
O6 0.0746 0.3726 0.8204
O7 0.1086 0.4986 0.6315
O8 0.1510 0.9987 0.6171
O9 0.1845 0.1222 0.4307
O10 0.1849 0.8745 0.4308
O11 0.1984 0.3745 0.4459
O12 0.1984 0.6232 0.4462
O13 0.2513 0.2630 0.2503
O14 0.2550 0.7331 0.2491
O15 0.3047 0.3743 0.0546
O16 0.3062 0.6239 0.0549
O17 0.3185 0.1223 0.0699
O18 0.3221 0.8733 0.0708
O19 0.3520 0.9989 0.8838
O20 0.3949 0.4984 0.8692
O21 0.4291 0.3724 0.6800
O22 0.4291 0.6250 0.6800
O23 0.4432 0.1249 0.6945
O24 0.4432 0.8722 0.6946
O25 0.4983 0.2338 0.5014
O26 0.4987 0.7638 0.5013
O27 0.5539 0.1217 0.3066
O28 0.5543 0.8743 0.3045
O29 0.5680 0.3753 0.3209
O30 0.5682 0.6221 0.3200
O31 0.6042 0.5007 0.1325
O32 0.6496 0.9967 0.1177
O33 0.6803 0.8724 0.9322
O34 0.6810 0.1244 0.9312
O35 0.6964 0.3737 0.9446
O36 0.6959 0.6248 0.9466
O37 0.7519 0.2614 0.7503
O38 0.7520 0.7355 0.7502
O39 0.8069 0.3738 0.5561
O40 0.8068 0.6235 0.5560
O41 0.8223 0.1241 0.5692
O42 0.8221 0.8730 0.5692
O43 0.8542 0.9990 0.3826
O44 0.8978 0.4982 0.3682
O45 0.9313 0.6230 0.1789
O46 0.9349 0.3757 0.1800
O47 0.9475 0.8748 0.1938
O48 0.9488 0.1219 0.1944
```

***

DFT (GGA+U) results for a relaxed structure of NaWO3.

Properties
Energy with MP2020 corrections = -39.7 eV per cell
Raw total energy = -6.636 eV per atom
M_tot = 1.00 μB/f.u.
Formation energy = -2.1108 eV per atom

```
data_NaWO3
_chemical_formula_sum 'Na1 W1 O3'
_symmetry_space_group_name_H-M 'P m -3 m'
_symmetry_Int_Tables_number 221
_symmetry_space_group_name_Hall '-P 4 2 3'
_cell_length_a 3.9696
_cell_length_b 3.9696
_cell_length_c 3.9696
_cell_angle_alpha 90.00
_cell_angle_beta 90.00
_cell_angle_gamma 90.00
loop_
_atom_site_label
_atom_site_fract_x
_atom_site_fract_y
_atom_site_fract_z
Na1 0.0000 0.0000 0.0000
W1 0.5000 0.5000 0.5000
O1 0.0000 0.5000 0.5000
```

***

DFT (GGA+U) results for a relaxed structure of Na3W4O12.

Properties
Energy with MP2020 corrections = -312.1 eV per cell
Raw total energy = -6.844 eV per atom
M_tot = 3.00 μB/f.u.
Formation energy = -2.1501 eV per atom

```
data_Na3W4O12
_chemical_formula_sum 'Na6 W8 O24'
_symmetry_space_group_name_H-M 'I m m m'
_symmetry_Int_Tables_number 71
_symmetry_space_group_name_Hall '-I 2 2'
_cell_length_a 7.8561
_cell_length_b 7.8713
_cell_length_c 7.8744
_cell_angle_alpha 90.00
_cell_angle_beta 90.00
_cell_angle_gamma 90.00
loop_
_atom_site_label
_atom_site_fract_x
_atom_site_fract_y
_atom_site_fract_z
Na1 0.0000 0.0000 0.0000
Na2 0.0000 0.0000 0.5000
Na3 0.0000 0.5000 0.0000
W1 0.2500 0.2500 0.2500
O1 0.0000 0.2665 0.2491
O2 0.2285 0.0000 0.2507
O3 0.2457 0.2549 0.0000
```

***

DFT (GGA+U) results for a relaxed structure of Na2W4O13.

Properties
Energy with MP2020 corrections = -160.9 eV per cell
Raw total energy = -7.066 eV per atom
M_tot = 0.00 μB/f.u.
Formation energy = -2.2176 eV per atom

```
data_Na2W4O13
_chemical_formula_sum 'Na2 W4 O13'
_symmetry_space_group_name_H-M 'P -1'
_symmetry_Int_Tables_number 2
_symmetry_space_group_name_Hall '-P 1'
_cell_length_a 3.8519
_cell_length_b 8.5347
_cell_length_c 8.6970
_cell_angle_alpha 83.68
_cell_angle_beta 77.29
_cell_angle_gamma 89.95
loop_
_atom_site_label
_atom_site_fract_x
_atom_site_fract_y
_atom_site_fract_z
Na1 0.2103 0.1944 0.0770
W1 0.3921 0.5201 0.6936
W2 0.4239 0.1316 0.6717
O1 0.0724 0.8563 0.3459
O2 0.0969 0.4924 0.3158
O3 0.3244 0.6493 0.8440
O4 0.3359 0.9865 0.8407
O5 0.3464 0.3067 0.8078
O6 0.4990 0.3460 0.5060
O7 0.5000 0.0000 0.5000
```

***

Repeat the second record exactly.
DFT (GGA+U) results for a relaxed structure of Na9W13O39.

Properties
Energy with MP2020 corrections = -505.0 eV per cell
Raw total energy = -6.893 eV per atom
M_tot = 9.00 μB/f.u.
Formation energy = -2.1579 eV per atom

```
data_Na9W13O39
_chemical_formula_sum 'Na9 W13 O39'
_symmetry_space_group_name_H-M 'P 1'
_symmetry_Int_Tables_number 1
_symmetry_space_group_name_Hall 'P 1'
_cell_length_a 5.5442
_cell_length_b 11.7597
_cell_length_c 13.0028
_cell_angle_alpha 72.45
_cell_angle_beta 90.00
_cell_angle_gamma 76.37
loop_
_atom_site_label
_atom_site_fract_x
_atom_site_fract_y
_atom_site_fract_z
Na1 0.0000 0.0000 0.0000
Na2 0.0740 0.8530 0.7644
Na3 0.1513 0.6963 0.5355
Na4 0.2264 0.5420 0.3003
Na5 0.3854 0.2365 0.8418
Na6 0.5358 0.9260 0.3785
Na7 0.6915 0.6139 0.9228
Na8 0.8367 0.3095 0.4618
Na9 0.9242 0.1590 0.2259
W1 0.0729 0.8484 0.2647
W2 0.1499 0.6940 0.0367
W3 0.2283 0.5404 0.8050
W4 0.3042 0.3863 0.5760
W5 0.3791 0.2347 0.3431
W6 0.4566 0.0814 0.1112
W7 0.5351 0.9260 0.8815
W8 0.6122 0.7719 0.6509
W9 0.6887 0.6169 0.4204
W10 0.7637 0.4653 0.1874
W11 0.8412 0.3133 0.9572
W12 0.9191 0.1578 0.7267
W13 0.9946 0.0044 0.4978
O1 0.0319 0.9278 0.3803
O2 0.0366 0.4260 0.8814
O3 0.0694 0.3485 0.2678
O4 0.1116 0.2720 0.6512
O5 0.1126 0.7722 0.1510
O6 0.1465 0.1933 0.0348
O7 0.1839 0.1196 0.4185
O8 0.1872 0.6201 0.9191
O9 0.2261 0.0411 0.8059
O10 0.2631 0.9661 0.1893
O11 0.2661 0.4644 0.6896
O12 0.3016 0.8857 0.5731
O13 0.3393 0.8112 0.9563
O14 0.3414 0.3129 0.4570
O15 0.3764 0.7331 0.3463
O16 0.4165 0.6595 0.7284
O17 0.4176 0.1542 0.2294
O18 0.4558 0.5796 0.1131
O19 0.4933 0.0065 0.9946
O20 0.4948 0.5022 0.4955
O21 0.5364 0.4279 0.8806
O22 0.5744 0.3483 0.2672
O23 0.5754 0.8475 0.7671
O24 0.6114 0.2713 0.6509
O25 0.6498 0.1952 0.0339
O26 0.6496 0.6964 0.5345
O27 0.6890 0.1190 0.4183
O28 0.7266 0.5386 0.3064
O29 0.7320 0.0400 0.8068
O30 0.7675 0.9674 0.1880
O31 0.8032 0.3887 0.0729
O32 0.8061 0.8860 0.5724
O33 0.8438 0.8113 0.9574
O34 0.8797 0.2321 0.8442
O35 0.8811 0.7339 0.3445
O36 0.9218 0.6600 0.7281
O37 0.9558 0.5806 0.1129
O38 0.9572 0.0799 0.6122
O39 0.9985 0.5027 0.4950
```